--- 1 ---
A relaxed structure of Na3Fe2P3O12. Source: Materials Project, functional PBE+U.

## Properties
Total magnetic moment = 10.00 μB per formula unit
Theoretical density = 3.14 g/cm³

Cell lengths 15.308, 8.867, 8.909 Å; angles 90.00, 125.58, 90.00 degrees
Space group C2/c (No. 15)
Asymmetric unit:
Na1 0.179 0.070 0.241 [8 per cell]
Na2 0.250 0.250 0.000 [4 per cell]
Fe1 0.102 0.256 0.558 [8 per cell]
P1 0.000 0.044 0.750 [4 per cell]
P2 0.149 0.401 0.261 [8 per cell]
O1 0.042 0.333 0.099 [8 per cell]
O2 0.071 0.056 0.425 [8 per cell]
O3 0.079 0.141 0.737 [8 per cell]
O4 0.158 0.426 0.748 [8 per cell]
O5 0.165 0.367 0.446 [8 per cell]
O6 0.239 0.326 0.254 [8 per cell]

***

--- 2 ---
A relaxed structure of Na3Fe2P3O12. Source: Materials Project, functional PBE+U.

## Properties
Total magnetic moment = 10.00 μB per formula unit
Theoretical density = 3.04 g/cm³

Cell lengths 8.8451, 8.8451, 22.5500 Å; angles 90.00, 90.00, 120.00 degrees
Space group R-3 (No. 148, hexagonal axes)
Asymmetric unit:
Na1 0.0229 0.6368 0.2272 [18 per cell]
Fe1 0.0000 0.0000 0.1497 [6 per cell]
Fe2 0.0000 0.0000 0.3515 [6 per cell]
P1 0.0001 0.2861 0.2510 [18 per cell]
O1 0.0045 0.8163 0.4095 [18 per cell]
O2 0.0249 0.8202 0.6924 [18 per cell]
O3 0.0557 0.2147 0.9017 [18 per cell]
O4 0.0627 0.2146 0.1983 [18 per cell]

***

--- 3 ---
A relaxed structure of Na3Fe2P3O12. Source: Materials Project, functional PBE+U.

## Properties
Total magnetic moment = 10.00 μB per formula unit
Theoretical density = 3.05 g/cm³

Cell lengths 8.806, 8.982, 15.525 Å; angles 90.00, 124.28, 90.00 degrees
Space group P2_1/c (No. 14)
Asymmetric unit:
Na1 0.037 0.213 0.327 [4 per cell]
Na2 0.336 0.203 0.238 [4 per cell]
Na3 0.382 0.566 0.307 [4 per cell]
Fe1 0.140 0.539 0.399 [4 per cell]
Fe2 0.346 0.526 0.095 [4 per cell]
P1 0.036 0.104 0.647 [4 per cell]
P2 0.252 0.618 0.646 [4 per cell]
P3 0.468 0.249 0.996 [4 per cell]
O1 0.017 0.230 0.169 [4 per cell]
O2 0.084 0.008 0.743 [4 per cell]
O3 0.091 0.583 0.657 [4 per cell]
O4 0.138 0.542 0.951 [4 per cell]
O5 0.193 0.575 0.536 [4 per cell]
O6 0.203 0.095 0.638 [4 per cell]
O7 0.290 0.154 0.937 [4 per cell]
O8 0.301 0.712 0.166 [4 per cell]
O9 0.363 0.649 0.434 [4 per cell]
O10 0.423 0.524 0.728 [4 per cell]
O11 0.457 0.143 0.570 [4 per cell]
O12 0.484 0.168 0.414 [4 per cell]

***

In terms of stability, 1 leads; the second structure lies 10 meV per atom higher.

***

--- 1 ---
A relaxed structure of NaFePO4. Source: Materials Project, functional PBE+U.

## Properties
Total magnetic moment = 4.00 μB per formula unit
Theoretical density = 3.58 g/cm³

Cell lengths 6.931, 5.108, 9.113 Å; angles 90.00, 90.06, 90.00 degrees
Space group P2_1/c (No. 14)
Asymmetric unit:
Na1 0.250 0.029 0.152 [4 per cell]
Fe1 0.000 0.000 0.500 [2 per cell]
Fe2 0.500 0.000 0.500 [2 per cell]
P1 0.250 0.534 0.325 [4 per cell]
O1 0.068 0.680 0.379 [4 per cell]
O2 0.250 0.248 0.384 [4 per cell]
O3 0.250 0.543 0.152 [4 per cell]
O4 0.432 0.680 0.379 [4 per cell]

***

--- 2 ---
A relaxed structure of NaFePO4. Source: Materials Project, functional PBE+U.

## Properties
Total magnetic moment = 0.00 μB per formula unit
Theoretical density = 3.39 g/cm³

Cell lengths 10.345, 6.336, 5.194 Å; angles 90.00, 90.00, 90.00 degrees
Space group Pnma (No. 62)
Asymmetric unit:
Na1 0.000 0.000 0.000 [4 per cell]
Fe1 0.162 0.250 0.492 [4 per cell]
P1 0.184 0.750 0.483 [4 per cell]
O1 0.117 0.550 0.372 [8 per cell]
O2 0.169 0.750 0.781 [4 per cell]
O3 0.170 0.250 0.895 [4 per cell]

***

In terms of stability, 1 leads; the second structure lies 40 meV per atom higher.

***

--- 1 ---
A relaxed structure of Na2TiFeP3O12. Source: Materials Project, functional PBE+U.

## Properties
Theoretical density = 2.98 g/cm³

Cell lengths 15.156, 8.756, 8.869 Å; angles 90.00, 124.53, 90.00 degrees
Space group C2 (No. 5)
Asymmetric unit:
Na1 0.185 0.000 0.000 [4 per cell]
Na2 0.246 0.320 0.251 [4 per cell]
Ti1 0.106 0.815 0.319 [4 per cell]
Fe1 0.097 0.319 0.802 [4 per cell]
P1 0.000 0.024 0.500 [2 per cell]
P2 0.000 0.106 0.000 [2 per cell]
P3 0.143 0.670 0.000 [4 per cell]
P4 0.147 0.463 0.503 [4 per cell]
O1 0.040 0.739 0.830 [4 per cell]
O2 0.047 0.395 0.332 [4 per cell]
O3 0.067 0.001 0.170 [4 per cell]
O4 0.071 0.120 0.676 [4 per cell]
O5 0.077 0.921 0.483 [4 per cell]
O6 0.082 0.203 0.992 [4 per cell]
O7 0.145 0.711 0.171 [4 per cell]
O8 0.151 0.639 0.484 [4 per cell]
O9 0.152 0.495 0.992 [4 per cell]
O10 0.153 0.435 0.680 [4 per cell]
O11 0.238 0.746 0.006 [4 per cell]
O12 0.245 0.391 0.517 [4 per cell]

***

--- 2 ---
A relaxed structure of Na2TiFeP3O12. Source: Materials Project, functional PBE+U.

## Properties
Total magnetic moment = 5.00 μB per formula unit
Theoretical density = 2.97 g/cm³

Cell lengths 9.904, 9.904, 9.904 Å; angles 90.00, 90.00, 90.00 degrees
Space group P2_13 (No. 198)
Asymmetric unit:
Na1 0.043 0.457 0.543 [4 per cell]
Na2 0.176 0.176 0.176 [4 per cell]
Ti1 0.109 0.609 0.891 [4 per cell]
Fe1 0.164 0.836 0.336 [4 per cell]
P1 0.025 0.291 0.880 [12 per cell]
O1 0.010 0.946 0.264 [12 per cell]
O2 0.015 0.440 0.829 [12 per cell]
O3 0.045 0.700 0.729 [12 per cell]
O4 0.096 0.672 0.246 [12 per cell]

***

In terms of stability, 1 leads; the second structure lies 40 meV per atom higher.

***

--- 1 ---
A relaxed structure of NaFe2Si4O12. Source: Materials Project, functional PBE+U.

## Properties
Total magnetic moment = 9.02 μB per formula unit
Theoretical density = 3.34 g/cm³

Cell lengths 5.357, 8.806, 9.515 Å; angles 90.00, 103.75, 90.00 degrees
Space group P2 (No. 3)
Asymmetric unit:
Na1 0.000 0.000 0.000 [1 per cell]
Na2 0.500 0.499 0.500 [1 per cell]
Fe1 0.000 0.401 0.000 [1 per cell]
Fe2 0.000 0.697 0.500 [1 per cell]
Fe3 0.500 0.201 0.000 [1 per cell]
Fe4 0.500 0.895 0.500 [1 per cell]
Si1 0.190 0.381 0.706 [2 per cell]
Si2 0.196 0.709 0.208 [2 per cell]
Si3 0.308 0.205 0.298 [2 per cell]
Si4 0.314 0.886 0.792 [2 per cell]
O1 0.082 0.797 0.846 [2 per cell]
O2 0.090 0.299 0.357 [2 per cell]
O3 0.179 0.538 0.149 [2 per cell]
O4 0.184 0.552 0.639 [2 per cell]
O5 0.228 0.213 0.118 [2 per cell]
O6 0.242 0.872 0.612 [2 per cell]
O7 0.267 0.368 0.884 [2 per cell]
O8 0.282 0.721 0.388 [2 per cell]
O9 0.312 0.053 0.861 [2 per cell]
O10 0.319 0.030 0.357 [2 per cell]
O11 0.407 0.805 0.143 [2 per cell]
O12 0.417 0.293 0.646 [2 per cell]

***

--- 2 ---
A relaxed structure of NaFe2Si4O12. Source: Materials Project, functional PBE+U.

## Properties
Total magnetic moment = 9.00 μB per formula unit
Theoretical density = 3.31 g/cm³

Cell lengths 9.780, 8.845, 5.359 Å; angles 90.00, 108.13, 90.00 degrees
Space group C2 (No. 5)
Asymmetric unit:
Na1 0.000 0.000 0.000 [2 per cell]
Fe1 0.000 0.199 0.500 [2 per cell]
Fe2 0.000 0.402 0.000 [2 per cell]
Si1 0.207 0.709 0.011 [4 per cell]
Si2 0.208 0.883 0.517 [4 per cell]
O1 0.115 0.218 0.889 [4 per cell]
O2 0.115 0.368 0.382 [4 per cell]
O3 0.139 0.052 0.452 [4 per cell]
O4 0.145 0.804 0.736 [4 per cell]
O5 0.146 0.538 0.965 [4 per cell]
O6 0.149 0.796 0.230 [4 per cell]

***

In terms of stability, 2 leads; the second structure lies 5 meV per atom higher.